VASP calculation (PBE) on an optimized crystal structure of KLiPH2O4F.

Output
V: 12.463 A^3/atom
DFT formation energy: -2.348 eV per atom
E_tot: -57.19 eV/f.u.
Calculated density: 2159 kg/m3

a b c (Å): 5.490 7.599 12.570
angles (deg): 90.00 108.06 90.00
Sites, in units of the cell vectors:
K1 0.176 0.225 0.347
K2 0.176 0.275 0.847
K3 0.824 0.725 0.153
K4 0.824 0.775 0.653
Li1 0.319 0.041 0.636
Li2 0.319 0.459 0.136
Li3 0.681 0.541 0.864
Li4 0.681 0.959 0.364
P1 0.238 0.726 0.947
P2 0.238 0.774 0.447
P3 0.762 0.226 0.553
P4 0.762 0.274 0.053
H1 0.347 0.583 0.662
H2 0.347 0.917 0.162
H3 0.459 0.108 0.158
H4 0.459 0.392 0.658
H5 0.541 0.608 0.342
H6 0.541 0.892 0.842
H7 0.653 0.083 0.838
H8 0.653 0.417 0.338
O1 0.024 0.624 0.864
O2 0.024 0.876 0.364
O3 0.261 0.701 0.071
O4 0.261 0.799 0.571
O5 0.439 0.014 0.210
O6 0.439 0.486 0.710
O7 0.496 0.718 0.925
O8 0.496 0.782 0.425
O9 0.504 0.218 0.575
O10 0.504 0.282 0.075
O11 0.561 0.514 0.290
O12 0.561 0.986 0.790
O13 0.739 0.201 0.429
O14 0.739 0.299 0.929
O15 0.976 0.124 0.636
O16 0.976 0.376 0.136
F1 0.155 0.569 0.423
F2 0.155 0.931 0.923
F3 0.845 0.069 0.077
F4 0.845 0.431 0.577